# Na2Zr4Ta4Si7S5O48 | Materials Project | GGA-PBE | relaxed
data_Na2Zr4Ta4Si7S5O48
_symmetry_space_group_name_H-M 'P 1'
_symmetry_Int_Tables_number 1
_cell_length_a 8.9555
_cell_length_b 15.5234
_cell_length_c 23.2581
_cell_angle_alpha 89.17
_cell_angle_beta 89.96
_cell_angle_gamma 89.98
loop_
_symmetry_equiv_pos_as_xyz
'x,y,z'
loop_
_atom_site_label
_atom_site_fract_x
_atom_site_fract_y
_atom_site_fract_z
Na1 0.0000 0.0000 0.0000
Na2 0.0057 0.3320 0.3427
Na3 0.0205 0.3352 0.8375
Na4 0.5071 0.8304 0.3412
Na5 0.5215 0.8293 0.8406
Na6 0.5284 0.4994 0.5066
Zr1 0.0036 0.0134 0.8605
Zr2 0.0096 0.3412 0.4827
Zr3 0.0102 0.6793 0.8100
Zr4 0.0124 0.3467 0.9793
Zr5 0.0219 0.6805 0.3133
Zr6 0.5040 0.1817 0.8125
Zr7 0.5133 0.8448 0.4813
Zr8 0.5163 0.8422 0.9801
Zr9 0.5175 0.5101 0.6490
Zr10 0.5205 0.1841 0.3129
Zr11 0.5225 0.5150 0.3618
Zr12 0.9987 0.0097 0.1454
Ta1 0.0024 0.3405 0.1868
Ta2 0.0184 0.0147 0.3627
Ta3 0.0263 0.0113 0.6440
Ta4 0.0309 0.3491 0.6906
Ta5 0.0315 0.6788 0.0239
Ta6 0.4951 0.1811 0.5267
Ta7 0.4960 0.5135 0.8600
Ta8 0.4995 0.5111 0.1443
Ta9 0.4998 0.8436 0.1869
Ta10 0.5224 0.8401 0.6875
Ta11 0.5301 0.1823 0.0251
Ta12 0.9967 0.6817 0.5264
Si1 0.1475 0.4859 0.0849
Si2 0.1511 0.1530 0.7509
Si3 0.1580 0.8191 0.4187
Si4 0.2223 0.8442 0.0831
Si5 0.2270 0.5097 0.7524
Si6 0.2293 0.1788 0.4172
Si7 0.2994 0.6784 0.9164
Si8 0.3022 0.3469 0.5842
Si9 0.3716 0.3204 0.9187
Si10 0.3739 0.6532 0.2513
Si11 0.3777 0.9858 0.5850
Si12 0.6483 0.9880 0.0837
Si13 0.6503 0.6532 0.7530
Si14 0.6572 0.3188 0.4205
Si15 0.7226 0.3462 0.0853
Si16 0.7280 0.6787 0.4181
Si17 0.8000 0.1777 0.9174
Si18 0.8027 0.8463 0.5858
Si19 0.8711 0.4873 0.5844
Si20 0.8721 0.8176 0.9188
Si21 0.8757 0.1536 0.2528
S1 0.1561 0.5333 0.4197
S2 0.1605 0.2001 0.0857
S3 0.1621 0.8692 0.7495
S4 0.2998 0.0058 0.2530
S5 0.3636 0.3684 0.2498
S6 0.3652 0.6999 0.5853
S7 0.3698 0.0342 0.9197
S8 0.6590 0.6975 0.0881
S9 0.6608 0.0335 0.4176
S10 0.6660 0.3664 0.7531
S11 0.7252 0.0054 0.7496
S12 0.8008 0.5054 0.2498
S13 0.8613 0.8672 0.2530
S14 0.8641 0.1963 0.5877
S15 0.8638 0.5351 0.9184
O1 0.0684 0.5786 0.0743
O2 0.0700 0.2467 0.7388
O3 0.0726 0.9119 0.4033
O4 0.0762 0.1069 0.8073
O5 0.0818 0.4344 0.1427
O6 0.0876 0.2372 0.0346
O7 0.0881 0.7694 0.4752
O8 0.0888 0.4460 0.4236
O9 0.0937 0.7839 0.7526
O10 0.0951 0.5726 0.3661
O11 0.0965 0.9134 0.6978
O12 0.0967 0.1127 0.0946
O13 0.1063 0.0920 0.6958
O14 0.1182 0.2589 0.4234
O15 0.1181 0.5887 0.7633
O16 0.1190 0.9269 0.0952
O17 0.1206 0.7567 0.0757
O18 0.1219 0.4202 0.7456
O19 0.1262 0.0888 0.4081
O20 0.1266 0.2536 0.1382
O21 0.1275 0.5850 0.4707
O22 0.1306 0.7606 0.3616
O23 0.1354 0.4244 0.0309
O24 0.1388 0.9203 0.8011
O25 0.1934 0.3355 0.9256
O26 0.1952 0.3304 0.6417
O27 0.1956 0.6624 0.2570
O28 0.1958 0.6623 0.9758
O29 0.1965 0.6914 0.8614
O30 0.1979 0.0017 0.5995
O31 0.1984 0.3537 0.5282
O32 0.1995 0.3576 0.2408
O33 0.2031 0.6935 0.5784
O34 0.2043 0.9891 0.3050
O35 0.2048 0.0242 0.9147
O36 0.2098 0.0161 0.2011
O37 0.3213 0.5234 0.4137
O38 0.3219 0.1935 0.0796
O39 0.3269 0.8593 0.7404
O40 0.3276 0.5017 0.1006
O41 0.3277 0.5167 0.6956
O42 0.3284 0.8561 0.0288
O43 0.3300 0.1610 0.7574
O44 0.3310 0.1852 0.3603
O45 0.3323 0.8288 0.1417
O46 0.3341 0.1622 0.4751
O47 0.3350 0.4911 0.8096
O48 0.3353 0.8369 0.4243
O49 0.3882 0.4189 0.3015
O50 0.3920 0.9261 0.5298
O51 0.3963 0.9243 0.2467
O52 0.3966 0.2605 0.8623
O53 0.3976 0.7535 0.6374
O54 0.3991 0.0785 0.2613
O55 0.3999 0.0853 0.9713
O56 0.4004 0.5894 0.9100
O57 0.4027 0.2569 0.5765
O58 0.4103 0.7590 0.9250
O59 0.4121 0.4274 0.5903
O60 0.4209 0.5934 0.1962
O61 0.4304 0.4117 0.1981
O62 0.4308 0.0732 0.8666
O63 0.4321 0.2821 0.2534
O64 0.4319 0.6138 0.5918
O65 0.4351 0.7393 0.5338
O66 0.4381 0.2675 0.9757
O67 0.4376 0.9468 0.9238
O68 0.4440 0.9347 0.6422
O69 0.4506 0.6083 0.3074
O70 0.4528 0.7494 0.2399
O71 0.4568 0.0787 0.5735
O72 0.4614 0.4109 0.9071
O73 0.5639 0.0800 0.0737
O74 0.5643 0.7500 0.7439
O75 0.5707 0.4110 0.4136
O76 0.5778 0.6025 0.8093
O77 0.5833 0.7311 0.0367
O78 0.5838 0.9360 0.1425
O79 0.5915 0.2647 0.4768
O80 0.5931 0.6096 0.0998
O81 0.5957 0.0729 0.3653
O82 0.5983 0.9455 0.4222
O83 0.5987 0.2794 0.7590
O84 0.6011 0.4045 0.7002
O85 0.6177 0.2607 0.0768
O86 0.6183 0.4270 0.1048
O87 0.6195 0.5993 0.6957
O88 0.6216 0.7621 0.4242
O89 0.6248 0.5906 0.4167
O90 0.6256 0.2628 0.3627
O91 0.6264 0.9256 0.7420
O92 0.6269 0.7535 0.1392
O93 0.6278 0.0800 0.7564
O94 0.6288 0.9251 0.0302
O95 0.6394 0.4189 0.8040
O96 0.6399 0.0835 0.4694
O97 0.6914 0.8263 0.6423
O98 0.6929 0.8325 0.9254
O99 0.6936 0.1654 0.9766
O100 0.6942 0.5042 0.5909
O101 0.6954 0.1826 0.8611
O102 0.6957 0.8583 0.2456
O103 0.6993 0.1645 0.2618
O104 0.7002 0.8620 0.5305
O105 0.7012 0.5245 0.9104
O106 0.7033 0.1837 0.5775
O107 0.7048 0.5157 0.1992
O108 0.7128 0.4866 0.3025
O109 0.8130 0.9865 0.8025
O110 0.8190 0.6875 0.0813
O111 0.8213 0.0156 0.6991
O112 0.8237 0.6709 0.7622
O113 0.8270 0.3619 0.0311
O114 0.8277 0.0038 0.0920
O115 0.8279 0.0227 0.4081
O116 0.8306 0.3553 0.7456
O117 0.8308 0.6836 0.3608
O118 0.8330 0.3261 0.1427
O119 0.8343 0.6665 0.4762
O120 0.8360 0.3313 0.4240
O121 0.8896 0.2505 0.6378
O122 0.8907 0.9203 0.3038
O123 0.8925 0.5851 0.9711
O124 0.8977 0.4261 0.5292
O125 0.8984 0.5801 0.2564
O126 0.8998 0.4257 0.2420
O127 0.9015 0.7624 0.8623
O128 0.9027 0.0895 0.9167
O129 0.9051 0.2614 0.9248
O130 0.9073 0.7605 0.5768
O131 0.9071 0.9268 0.6043
O132 0.9143 0.0976 0.1970
O133 0.9266 0.7803 0.2589
O134 0.9277 0.9059 0.2005
O135 0.9298 0.1075 0.5982
O136 0.9316 0.4471 0.9243
O137 0.9332 0.5734 0.8670
O138 0.9356 0.7645 0.9770
O139 0.9397 0.2297 0.5355
O140 0.9403 0.4352 0.6415
O141 0.9497 0.1019 0.3089
O142 0.9571 0.2501 0.2446
O143 0.9571 0.9112 0.9147
O144 0.9592 0.5799 0.5723
# Raw total energy: -1652.95 eV for the cell shown
# M_tot: 0.00 μB/cell
# ΔH_f (0 K): -2.908 eV per atom